Entry 1:
{"formula": "CeSe2", "functional": "PBE", "state": "relaxed", "delta_e_f_ev_per_fu": -4.88, "sg": "R-3c (167)", "dft_energy_ev_per_atom": -5.620, "lattice": [[5.562, -9.067, 0.000], [5.562, 9.067, 0.000], [-9.218, 0.000, 5.307]], "species": ["Ce", "Ce", "Ce", "Ce", "Ce", "Ce", "Se", "Se", "Se", "Se", "Se", "Se", "Se", "Se", "Se", "Se", "Se", "Se"], "fractional_positions": [[0.571, 0.750, 0.929], [0.750, 0.929, 0.571], [0.429, 0.250, 0.071], [0.929, 0.571, 0.750], [0.071, 0.429, 0.250], [0.250, 0.071, 0.429], [0.000, 0.500, 0.000], [0.500, 0.000, 0.000], [0.127, 0.250, 0.373], [0.750, 0.627, 0.873], [0.373, 0.127, 0.250], [0.000, 0.000, 0.500], [0.627, 0.873, 0.750], [0.500, 0.000, 0.500], [0.500, 0.500, 0.000], [0.873, 0.750, 0.627], [0.250, 0.373, 0.127], [0.000, 0.500, 0.500]]}



Entry 2:
{"formula": "TeAsI3F6", "functional": "PBE", "state": "relaxed", "delta_e_f_ev_per_fu": -18.38, "sg": "P2_1/c (14)", "dft_energy_ev_per_atom": -3.588, "lattice": [[-8.458, 2.403, 6.630], [-1.092, -8.240, 1.593], [7.711, -1.569, 10.407]], "species": ["I", "I", "I", "I", "I", "I", "I", "I", "I", "I", "I", "I", "As", "As", "As", "As", "F", "F", "F", "F", "F", "F", "F", "F", "F", "F", "F", "F", "F", "F", "F", "F", "F", "F", "F", "F", "F", "F", "F", "F", "Te", "Te", "Te", "Te"], "fractional_positions": [[0.598, 0.775, 0.246], [0.046, 0.292, 0.629], [0.402, 0.225, 0.754], [0.351, 0.445, 0.404], [0.954, 0.708, 0.371], [0.454, 0.292, 0.129], [0.902, 0.775, 0.746], [0.851, 0.555, 0.096], [0.149, 0.445, 0.904], [0.649, 0.555, 0.596], [0.098, 0.225, 0.254], [0.546, 0.708, 0.871], [0.275, 0.827, 0.581], [0.775, 0.173, 0.919], [0.225, 0.827, 0.081], [0.725, 0.173, 0.419], [0.629, 0.242, 0.947], [0.668, 0.217, 0.538], [0.739, 0.974, 0.987], [0.782, 0.123, 0.302], [0.371, 0.758, 0.053], [0.314, 0.632, 0.647], [0.261, 0.026, 0.013], [0.578, 0.102, 0.391], [0.168, 0.783, 0.962], [0.218, 0.877, 0.698], [0.718, 0.123, 0.802], [0.761, 0.974, 0.487], [0.422, 0.898, 0.609], [0.332, 0.783, 0.462], [0.922, 0.102, 0.891], [0.078, 0.898, 0.109], [0.129, 0.758, 0.553], [0.814, 0.368, 0.853], [0.282, 0.877, 0.198], [0.871, 0.242, 0.447], [0.686, 0.368, 0.353], [0.239, 0.026, 0.513], [0.832, 0.217, 0.038], [0.186, 0.632, 0.147], [0.166, 0.187, 0.810], [0.666, 0.813, 0.690], [0.334, 0.187, 0.310], [0.834, 0.813, 0.190]]}



Entry 3:
{"formula": "CsLaHgSe3", "functional": "PBE", "state": "relaxed", "delta_e_f_ev_per_fu": -9.20, "sg": "Cmcm (63)", "dft_energy_ev_per_atom": -4.068, "lattice": [[-3.347, -2.760, 1.154], [6.710, -2.631, 4.436], [-2.908, 7.137, 8.631]], "species": ["La", "La", "Se", "Se", "Se", "Se", "Se", "Se", "Cs", "Cs", "Hg", "Hg"], "fractional_positions": [[0.000, 0.000, 0.500], [0.000, 0.000, 0.000], [0.379, 0.758, 0.948], [0.621, 0.242, 0.052], [0.621, 0.242, 0.448], [0.379, 0.758, 0.552], [0.937, 0.875, 0.250], [0.063, 0.125, 0.750], [0.745, 0.489, 0.750], [0.255, 0.511, 0.250], [0.459, 0.918, 0.750], [0.541, 0.082, 0.250]]}



Entry 4:
{"formula": "Mg6CuBi", "functional": "PBE", "state": "relaxed", "delta_e_f_ev_per_fu": 0.02, "e_above_lowest_polymorph_mev_per_atom": 0, "dft_energy_ev_per_atom": -2.196, "lattice": [[-4.580, -1.630, 1.255], [2.542, -4.511, 3.419], [0.032, 6.939, 9.132]], "species": ["Mg", "Mg", "Mg", "Mg", "Mg", "Mg", "Mg", "Mg", "Mg", "Mg", "Mg", "Mg", "Cu", "Cu", "Bi", "Bi"], "fractional_positions": [[0.500, 0.241, 0.908], [0.000, 0.500, 0.826], [0.000, 0.744, 0.573], [0.500, 0.259, 0.408], [0.500, 0.741, 0.408], [0.000, 0.256, 0.573], [0.000, 0.756, 0.073], [0.500, 0.500, 0.668], [0.000, 0.244, 0.073], [0.500, 0.759, 0.908], [0.500, 0.000, 0.168], [0.000, 0.000, 0.326], [0.000, 0.000, 0.880], [0.000, 0.500, 0.380], [0.500, 0.000, 0.663], [0.500, 0.500, 0.163]]}



Entry 5:
{"formula": "MgSi", "functional": "PBE", "state": "relaxed", "delta_e_f_ev_per_fu": 0.18, "sg": "P-1 (2)", "dft_energy_ev_per_atom": -3.461, "lattice": [[-2.429, -1.994, -3.120], [5.328, 0.088, -1.511], [0.073, -7.880, 5.932]], "species": ["Si", "Si", "Si", "Si", "Si", "Si", "Mg", "Mg", "Mg", "Mg", "Mg", "Mg"], "fractional_positions": [[0.107, 0.207, 0.952], [0.314, 0.598, 0.137], [0.893, 0.793, 0.048], [0.623, 0.142, 0.422], [0.377, 0.858, 0.578], [0.686, 0.402, 0.863], [0.944, 0.809, 0.330], [0.056, 0.191, 0.670], [0.763, 0.589, 0.622], [0.237, 0.411, 0.378], [0.377, 0.798, 0.856], [0.623, 0.202, 0.144]]}



Entry 6:
{"formula": "Ni2W11C4", "functional": "PBE", "state": "relaxed", "delta_e_f_ev_per_fu": 5.00, "sg": "Amm2 (38)", "dft_energy_ev_per_atom": -10.942, "lattice": [[3.953, -6.998, 0.000], [3.953, 6.998, 0.000], [0.000, 0.000, 8.224]], "species": ["W", "W", "W", "W", "W", "W", "W", "W", "W", "W", "W", "W", "W", "W", "W", "W", "W", "W", "W", "W", "W", "W", "C", "C", "C", "C", "C", "C", "C", "C", "Ni", "Ni", "Ni", "Ni"], "fractional_positions": [[0.577, 0.792, 0.682], [0.790, 0.210, 0.185], [0.107, 0.893, 0.000], [0.418, 0.211, 0.204], [0.450, 0.916, 0.000], [0.994, 0.006, 0.746], [0.790, 0.210, 0.815], [0.789, 0.582, 0.204], [0.789, 0.582, 0.796], [0.577, 0.792, 0.318], [0.880, 0.766, 0.500], [0.994, 0.006, 0.254], [0.132, 0.245, 0.000], [0.208, 0.423, 0.318], [0.206, 0.794, 0.315], [0.755, 0.868, 0.000], [0.418, 0.211, 0.796], [0.206, 0.794, 0.685], [0.879, 0.121, 0.500], [0.208, 0.423, 0.682], [0.234, 0.120, 0.500], [0.084, 0.550, 0.000], [0.497, 0.503, 0.747], [0.499, 0.001, 0.256], [0.497, 0.503, 0.253], [0.999, 0.501, 0.256], [0.999, 0.501, 0.744], [0.370, 0.630, 0.000], [0.499, 0.001, 0.744], [0.660, 0.340, 0.500], [0.942, 0.476, 0.500], [0.524, 0.058, 0.500], [0.523, 0.477, 0.500], [0.504, 0.496, 0.000]]}